(1)
Na7CaZr3Si3P3O24 | GGA-PBE | relaxed

Cell lengths 9.2738, 9.2766, 22.8382 Å; angles 90.06, 90.01, 119.96 degrees
With the nearest neighbours (Å) after each atom.
Atoms (fractional coordinates):
Na: 0.0000 0.0000 0.0000  6 O 2.53-2.78
Na: 0.0000 0.3701 0.5007  6 O 2.53-2.78
Na: 0.0014 0.3119 0.1696  4 O 2.41-2.62
Na: 0.0157 0.6847 0.4199  5 O 2.50-2.64
Na: 0.0379 0.7058 0.9223  5 O 2.43-2.67
Na: 0.0550 0.0385 0.3360  4 O 2.38-2.59
Na: 0.0628 0.3881 0.8368  5 O 2.44-2.72
Na: 0.3130 0.0420 0.8418  4 O 2.35-2.62
Na: 0.3215 0.6507 0.3400  4 O 2.40-2.59
Na: 0.3347 0.3342 0.7500  3 O 2.41-2.57
Na: 0.3493 0.0009 0.5061  5 O 2.42-2.70
Na: 0.3514 0.3620 0.2507  6 O 2.57-2.71
Na: 0.3817 0.6931 0.6661  4 O 2.42-2.58
Na: 0.3988 0.0566 0.1686  4 O 2.40-2.64
Na: 0.6542 0.7101 0.1694  4 O 2.39-2.63
Na: 0.6712 0.0173 0.0926  3 O 2.37-2.47
Na: 0.6718 0.3880 0.3407  3 O 2.35-2.58
Na: 0.6771 0.6541 0.8402  5 O 2.49-2.76
Na: 0.6906 0.0434 0.5887  6 O 2.46-2.71
Na: 0.7043 0.7066 0.5013  5 O 2.54-2.78
Na: 0.7078 0.3592 0.0064  5 O 2.40-2.69
Ca: 0.3469 0.3577 0.9026  6 O 2.20-2.41
Ca: 0.3535 0.3631 0.4084  6 O 2.22-2.37
Ca: 0.6846 0.0279 0.2321  6 O 2.23-2.29
Zr: 0.0185 0.6928 0.2664  3 O 2.02-2.03
Zr: 0.0194 0.6903 0.5718  6 O 2.00-2.21
Zr: 0.0211 0.6988 0.7679  5 O 2.00-2.21
Zr: 0.0259 0.6959 0.0676  4 O 1.96-2.08
Zr: 0.3529 0.3583 0.1023  6 O 2.06-2.19
Zr: 0.3540 0.3552 0.6041  6 O 2.06-2.19
Zr: 0.6803 0.0198 0.9383  6 O 2.06-2.18
Zr: 0.6808 0.0262 0.4365  6 O 2.08-2.19
Zr: 0.6940 0.0364 0.7286  6 O 1.99-2.19
Si: 0.0231 0.3975 0.6690  4 O 1.63-1.65
Si: 0.0248 0.9912 0.1664  4 O 1.61-1.67
Si: 0.3098 0.6845 0.1689  4 O 1.61-1.67
Si: 0.3166 0.9934 0.6689  4 O 1.63-1.66
Si: 0.3497 0.6628 0.5018  4 O 1.61-1.67
Si: 0.3507 0.0559 0.9987  4 O 1.61-1.67
Si: 0.6562 0.3627 0.4993  4 O 1.60-1.67
Si: 0.7198 0.4035 0.1655  4 O 1.61-1.67
Si: 0.9739 0.0200 0.8345  4 O 1.62-1.67
P: 0.0461 0.3578 0.9996  4 O 1.52-1.57
P: 0.0490 0.0578 0.5012  4 O 1.52-1.57
P: 0.3788 0.0203 0.3342  4 O 1.52-1.59
P: 0.3926 0.7413 0.8310  4 O 1.53-1.57
P: 0.6540 0.6618 0.0007  4 O 1.53-1.56
P: 0.6909 0.7291 0.3340  4 O 1.52-1.59
P: 0.6923 0.3198 0.8345  4 O 1.53-1.56
P: 0.7200 0.6913 0.6685  4 O 1.54-1.56
P: 0.9827 0.3296 0.3341  4 O 1.52-1.59
O: 0.0011 0.4892 0.6111  1 Si 1.64
O: 0.0052 0.8752 0.1100  1 Si 1.63
O: 0.0067 0.5003 0.0078  1 P 1.55
O: 0.0175 0.8803 0.5139  1 P 1.55
O: 0.0443 0.5155 0.7261  1 Si 1.65
O: 0.0512 0.9013 0.2257  1 Si 1.67
O: 0.1401 0.3860 0.9422  1 P 1.52
O: 0.1412 0.3365 0.0523  1 P 1.56
O: 0.1446 0.1837 0.5513  1 P 1.56
O: 0.1463 0.1138 0.4441  1 P 1.52
O: 0.1564 0.1850 0.8314  1 Si 1.62
O: 0.1585 0.3529 0.3389  1 P 1.54
O: 0.1852 0.8720 0.0072  1 Si 1.64
O: 0.1948 0.7003 0.5120  1 Si 1.65
O: 0.1972 0.1727 0.1616  1 Si 1.65
O: 0.1977 0.3947 0.6630  1 Si 1.64
O: 0.1975 0.6598 0.2291  1 Si 1.67
O: 0.1996 0.8987 0.7267  1 Si 1.66
O: 0.2063 0.7049 0.1153  1 Si 1.62
O: 0.2082 0.8526 0.3350  1 P 1.57
O: 0.2162 0.7259 0.8300  1 P 1.57
O: 0.2229 0.8777 0.6119  1 Si 1.63
O: 0.3009 0.5562 0.4424  1 Si 1.61
O: 0.3136 0.1241 0.9390  1 Si 1.61
O: 0.3156 0.5117 0.1623  1 Si 1.64
O: 0.3371 0.1776 0.6631  1 Si 1.63
O: 0.3503 0.1690 0.3401  1 P 1.53
O: 0.3762 0.5686 0.8349  1 P 1.53
O: 0.3774 0.1837 0.0545  1 Si 1.67
O: 0.3822 0.5663 0.5565  1 Si 1.65
O: 0.4775 0.0411 0.2787  1 P 1.52
O: 0.4789 0.0076 0.3888  1 P 1.59
O: 0.4831 0.8529 0.8853  1 P 1.56
O: 0.4921 0.8281 0.7756  1 P 1.54
O: 0.4923 0.8460 0.1680  1 Si 1.61
O: 0.4933 0.9934 0.6725  1 Si 1.64
O: 0.5177 0.3258 0.5511  1 Si 1.65
O: 0.5239 0.8471 0.4961  1 Si 1.67
O: 0.5274 0.0526 0.9969  1 Si 1.65
O: 0.5394 0.3981 0.1625  1 Si 1.65
O: 0.5388 0.5532 0.3383  1 P 1.54
O: 0.5407 0.3446 0.8358  1 P 1.53
O: 0.5414 0.5694 0.0541  1 P 1.56
O: 0.5448 0.5349 0.6635  1 P 1.55
O: 0.5834 0.5636 0.9440  1 P 1.53
O: 0.5989 0.4038 0.4384  1 Si 1.60
O: 0.6712 0.2066 0.7815  1 P 1.55
O: 0.6741 0.8097 0.2785  1 P 1.52
O: 0.6762 0.8402 0.9987  1 P 1.56
O: 0.6766 0.1942 0.4964  1 Si 1.67
O: 0.6941 0.8438 0.6731  1 P 1.55
O: 0.6964 0.2195 0.1664  1 Si 1.61
O: 0.7048 0.8400 0.3890  1 P 1.59
O: 0.7103 0.2342 0.8907  1 P 1.56
O: 0.8089 0.6729 0.7233  1 P 1.56
O: 0.8131 0.5190 0.2247  1 Si 1.67
O: 0.8249 0.7132 0.6134  1 P 1.54
O: 0.8311 0.4982 0.1085  1 Si 1.62
O: 0.8307 0.6832 0.0075  1 P 1.56
O: 0.8412 0.5249 0.5118  1 Si 1.65
O: 0.8566 0.4911 0.8298  1 P 1.56
O: 0.8584 0.2125 0.6722  1 Si 1.63
O: 0.8577 0.7231 0.3345  1 P 1.58
O: 0.8633 0.0129 0.1668  1 Si 1.61
O: 0.8627 0.0296 0.7807  1 Si 1.64
O: 0.8643 0.0001 0.8944  1 Si 1.66
O: 0.8716 0.2313 0.3888  1 P 1.59
O: 0.8737 0.1912 0.9977  1 P 1.57
O: 0.8749 0.0463 0.4965  1 P 1.57
O: 0.9036 0.2332 0.2782  1 P 1.52
O: 0.9833 0.8453 0.8311  1 Si 1.67
O: 0.9881 0.5019 0.3350  1 P 1.57

Calculated values
As for the space group: No. 1. The density is 3.03 g/cm³. Its total moment is 0.00 Bohr magnetons per cell. The calculation puts the total energy at -7.22 eV per atom.

***

(2)
Na7Ca2Zr2SiP5O24 | GGA-PBE | relaxed

Cell lengths 9.3543, 9.3593, 22.4462 Å; angles 89.91, 89.95, 60.07 degrees
With the nearest neighbours (Å) after each atom.
Atoms (fractional coordinates):
Na: 0.0000 0.0000 0.0000  3 O 2.33-2.54
Na: 0.0009 0.3189 0.0881  6 O 2.46-2.73
Na: 0.0026 0.6217 0.5029  3 O 2.33-2.59
Na: 0.2782 0.0164 0.5071  4 O 2.37-2.61
Na: 0.2794 0.3413 0.0016  2 O 2.33-2.37
Na: 0.3265 0.6431 0.4199  5 O 2.41-2.68
Na: 0.3302 0.2927 0.6643  2 O 2.22-2.37
Na: 0.3314 0.9631 0.8340  3 O 2.34-2.53
Na: 0.3350 0.3416 0.3349  2 O 2.32-2.35
Na: 0.3368 0.6335 0.9182  6 O 2.49-2.76
Na: 0.6143 0.6707 0.3387  4 O 2.39-2.65
Na: 0.6292 0.9887 0.2524  6 O 2.46-2.68
Na: 0.6443 0.9893 0.7536  6 O 2.50-2.62
Na: 0.6613 0.3427 0.4977  2 O 2.22-2.37
Na: 0.6716 0.2865 0.1689  4 O 2.31-2.58
Na: 0.6747 0.6205 0.0055  3 O 2.29-2.54
Na: 0.9473 0.0110 0.6685  4 O 2.34-2.55
Na: 0.9495 0.6693 0.1627  2 O 2.21-2.36
Na: 0.9765 0.3408 0.5870  6 O 2.44-2.69
Na: 0.9890 0.9587 0.3326  3 O 2.34-2.51
Na: 0.9991 0.6803 0.8345  4 O 2.33-2.54
Ca: 0.3167 0.6596 0.2717  6 O 2.23-2.36
Ca: 0.3292 0.6486 0.7750  6 O 2.15-2.38
Ca: 0.6416 0.9869 0.1086  6 O 2.19-2.37
Ca: 0.6447 0.9835 0.6101  6 O 2.16-2.35
Ca: 0.9756 0.3270 0.9381  6 O 2.23-2.36
Ca: 0.9819 0.3231 0.4392  6 O 2.19-2.37
Zr: 0.3118 0.6631 0.0753  6 O 2.08-2.21
Zr: 0.3241 0.6513 0.5753  6 O 2.09-2.20
Zr: 0.6457 0.9983 0.4086  5 O 2.02-2.21
Zr: 0.6547 0.9911 0.9080  6 O 2.03-2.25
Zr: 0.9737 0.3288 0.7422  6 O 2.10-2.20
Zr: 0.9823 0.3188 0.2420  6 O 2.02-2.26
Si: 0.3456 0.3004 0.5135  4 O 1.59-1.71
Si: 0.6790 0.3161 0.3451  4 O 1.59-1.70
Si: 0.9585 0.6884 0.0123  4 O 1.59-1.70
P: 0.0139 0.9685 0.1775  4 O 1.52-1.59
P: 0.0240 0.6462 0.6798  4 O 1.52-1.60
P: 0.2885 0.3118 0.8441  4 O 1.53-1.60
P: 0.2898 0.0258 0.3460  4 O 1.52-1.59
P: 0.3002 0.9694 0.6798  4 O 1.52-1.59
P: 0.3041 0.3618 0.1781  4 O 1.52-1.61
P: 0.3533 0.9812 0.0056  4 O 1.51-1.59
P: 0.6251 0.3555 0.6744  4 O 1.51-1.59
P: 0.6291 0.6433 0.1789  4 O 1.53-1.59
P: 0.6388 0.2951 0.0136  4 O 1.52-1.59
P: 0.6402 0.6948 0.5067  4 O 1.51-1.58
P: 0.6826 0.6376 0.8471  4 O 1.52-1.59
P: 0.9562 0.9784 0.5123  4 O 1.52-1.60
P: 0.9704 0.6321 0.3427  4 O 1.53-1.59
P: 0.9728 0.0237 0.8434  4 O 1.52-1.58
O: 0.0055 0.1402 0.1759  1 P 1.57
O: 0.0180 0.4804 0.6788  1 P 1.58
O: 0.0893 0.8789 0.2358  1 P 1.52
O: 0.1007 0.6574 0.7381  1 P 1.52
O: 0.1114 0.6703 0.3357  1 P 1.54
O: 0.1219 0.8486 0.8382  1 P 1.54
O: 0.1274 0.8130 0.5129  1 P 1.58
O: 0.1275 0.8629 0.1234  1 P 1.59
O: 0.1306 0.1397 0.6769  1 P 1.59
O: 0.1380 0.3592 0.1748  1 P 1.57
O: 0.1377 0.6898 0.0119  1 Si 1.68
O: 0.1456 0.6279 0.6262  1 P 1.60
O: 0.1580 0.3354 0.5080  1 Si 1.62
O: 0.1709 0.1146 0.9998  1 P 1.54
O: 0.1803 0.3001 0.7912  1 P 1.60
O: 0.1812 0.1481 0.2946  1 P 1.59
O: 0.2020 0.3205 0.9030  1 P 1.53
O: 0.2066 0.0933 0.4059  1 P 1.52
O: 0.2930 0.4821 0.1250  1 P 1.61
O: 0.2943 0.8648 0.6250  1 P 1.59
O: 0.3041 0.4661 0.8389  1 P 1.53
O: 0.3041 0.8837 0.7379  1 P 1.52
O: 0.3113 0.4394 0.2370  1 P 1.53
O: 0.3156 0.8520 0.3377  1 P 1.53
O: 0.3469 0.4791 0.5116  1 Si 1.68
O: 0.3646 0.8076 0.0126  1 P 1.58
O: 0.4249 0.2003 0.5734  1 Si 1.59
O: 0.4262 0.0223 0.0584  1 P 1.51
O: 0.4424 0.0054 0.6773  1 P 1.53
O: 0.4578 0.1462 0.8415  1 P 1.57
O: 0.4578 0.1929 0.1725  1 P 1.52
O: 0.4597 0.0215 0.3428  1 P 1.57
O: 0.4603 0.9642 0.9483  1 P 1.59
O: 0.4682 0.7011 0.5121  1 P 1.58
O: 0.4718 0.1888 0.4561  1 Si 1.71
O: 0.4743 0.4669 0.0124  1 P 1.58
O: 0.4922 0.4695 0.3395  1 Si 1.62
O: 0.5045 0.6766 0.8401  1 P 1.53
O: 0.5157 0.4379 0.7275  1 P 1.51
O: 0.5226 0.6370 0.1250  1 P 1.59
O: 0.5354 0.4606 0.6165  1 P 1.59
O: 0.5471 0.6462 0.2380  1 P 1.53
O: 0.6209 0.1908 0.9613  1 P 1.59
O: 0.6244 0.7967 0.4483  1 P 1.58
O: 0.6571 0.2076 0.0724  1 P 1.52
O: 0.6600 0.1772 0.6708  1 P 1.53
O: 0.6623 0.7871 0.1758  1 P 1.53
O: 0.6713 0.7753 0.5593  1 P 1.51
O: 0.6816 0.1358 0.3435  1 Si 1.68
O: 0.6884 0.8031 0.8416  1 P 1.58
O: 0.7494 0.5597 0.9078  1 P 1.52
O: 0.7559 0.3346 0.4061  1 Si 1.59
O: 0.7797 0.5147 0.5035  1 P 1.53
O: 0.7871 0.3208 0.0046  1 P 1.53
O: 0.7961 0.3495 0.6787  1 P 1.58
O: 0.7994 0.4753 0.1749  1 P 1.59
O: 0.8001 0.7959 0.3427  1 P 1.57
O: 0.8038 0.5209 0.7966  1 P 1.59
O: 0.8074 0.3008 0.2888  1 Si 1.70
O: 0.8102 0.0132 0.8423  1 P 1.57
O: 0.8388 0.9952 0.1723  1 P 1.53
O: 0.8474 0.8168 0.9555  1 Si 1.70
O: 0.8549 0.7988 0.6726  1 P 1.52
O: 0.8583 0.7669 0.0723  1 Si 1.59
O: 0.8579 0.9612 0.4573  1 P 1.60
O: 0.8619 0.9960 0.5694  1 P 1.52
O: 0.9628 0.5253 0.2891  1 P 1.59
O: 0.9643 0.1374 0.7896  1 P 1.58
O: 0.9852 0.1252 0.5057  1 P 1.53
O: 0.9866 0.0983 0.9020  1 P 1.52
O: 0.9934 0.5007 0.0065  1 Si 1.62
O: 0.9983 0.5363 0.4008  1 P 1.53

Calculated values
As for the space group: No. 1. The density is 2.90 g/cm³. Its total moment is 0.00 Bohr magnetons per cell. The calculation puts the total energy at -6.98 eV per atom.

***

(3)
Na4CaZrSiP2O12 | GGA-PBE | relaxed

Cell lengths 9.3722, 9.3722, 22.8767 Å; angles 90.09, 90.09, 59.96 degrees
With the nearest neighbours (Å) after each atom.
Atoms (fractional coordinates):
Na: 0.1311 0.4822 0.9944  4 O 2.41-2.65
Na: 0.1319 0.8681 0.5000  3 O 2.35-2.62
Na: 0.1427 0.7964 0.8291  2 O 2.37-2.42
Na: 0.1508 0.1560 0.5814  6 O 2.47-2.74
Na: 0.1511 0.5256 0.3318  4 O 2.42-2.63
Na: 0.1560 0.1508 0.0814  6 O 2.47-2.74
Na: 0.1951 0.4763 0.6695  4 O 2.46-2.67
Na: 0.1954 0.8171 0.1614  4 O 2.41-2.67
Na: 0.4624 0.8124 0.6655  3 O 2.35-2.60
Na: 0.4746 0.8618 0.0018  4 O 2.46-2.64
Na: 0.4763 0.1951 0.1695  4 O 2.46-2.67
Na: 0.4822 0.1311 0.4944  4 O 2.41-2.65
Na: 0.4829 0.4996 0.7478  6 O 2.47-2.75
Na: 0.4996 0.4829 0.2478  6 O 2.47-2.75
Na: 0.5256 0.1511 0.8318  4 O 2.42-2.63
Na: 0.5296 0.8068 0.3351  5 O 2.48-2.77
Na: 0.7964 0.1427 0.3291  2 O 2.37-2.42
Na: 0.8068 0.5296 0.8351  5 O 2.48-2.77
Na: 0.8124 0.4624 0.1655  3 O 2.35-2.60
Na: 0.8150 0.8372 0.4146  5 O 2.43-2.71
Na: 0.8171 0.1954 0.6614  4 O 2.41-2.67
Na: 0.8372 0.8150 0.9146  5 O 2.43-2.71
Na: 0.8618 0.4746 0.5018  4 O 2.46-2.64
Na: 0.8681 0.1319 0.0000  3 O 2.35-2.62
Ca: 0.1579 0.1595 0.9343  6 O 2.16-2.33
Ca: 0.1595 0.1579 0.4343  6 O 2.16-2.33
Ca: 0.4915 0.4933 0.1009  6 O 2.16-2.33
Ca: 0.4933 0.4915 0.6009  6 O 2.16-2.33
Ca: 0.8244 0.8295 0.2676  6 O 2.15-2.34
Ca: 0.8295 0.8244 0.7676  6 O 2.15-2.34
Zr: 0.1586 0.1605 0.7360  6 O 2.05-2.21
Zr: 0.1605 0.1586 0.2360  6 O 2.05-2.21
Zr: 0.4828 0.4965 0.9026  5 O 2.01-2.21
Zr: 0.4965 0.4828 0.4026  5 O 2.01-2.21
Zr: 0.8293 0.8316 0.5693  5 O 2.01-2.20
Zr: 0.8316 0.8293 0.0693  5 O 2.01-2.20
Si: 0.1272 0.8307 0.6721  4 O 1.60-1.71
Si: 0.1625 0.4584 0.8385  4 O 1.60-1.70
Si: 0.1879 0.7930 0.0057  4 O 1.59-1.70
Si: 0.4584 0.1625 0.3385  4 O 1.60-1.70
Si: 0.7930 0.1879 0.5057  4 O 1.59-1.70
Si: 0.8307 0.1272 0.1721  4 O 1.60-1.71
P: 0.1209 0.5231 0.1708  4 O 1.52-1.59
P: 0.1674 0.8553 0.3370  4 O 1.52-1.59
P: 0.1895 0.4991 0.5038  4 O 1.52-1.59
P: 0.4548 0.8574 0.8373  4 O 1.52-1.59
P: 0.4991 0.1895 0.0038  4 O 1.52-1.59
P: 0.4996 0.7866 0.5035  4 O 1.52-1.58
P: 0.5231 0.1209 0.6708  4 O 1.52-1.59
P: 0.5251 0.8316 0.1703  4 O 1.52-1.58
P: 0.7866 0.4996 0.0035  4 O 1.52-1.58
P: 0.8316 0.5251 0.6703  4 O 1.52-1.58
P: 0.8553 0.1674 0.8370  4 O 1.52-1.59
P: 0.8574 0.4548 0.3373  4 O 1.52-1.59
O: 0.0014 0.8541 0.6144  1 Si 1.71
O: 0.0051 0.6431 0.8342  1 Si 1.62
O: 0.0056 0.6166 0.1167  1 P 1.59
O: 0.0072 0.1317 0.1736  1 Si 1.68
O: 0.0072 0.7949 0.0068  1 Si 1.69
O: 0.0163 0.6623 0.5068  1 P 1.58
O: 0.0236 0.8223 0.3301  1 P 1.53
O: 0.0468 0.6208 0.2264  1 P 1.52
O: 0.0492 0.8030 0.7299  1 Si 1.60
O: 0.1279 0.3513 0.1732  1 P 1.58
O: 0.1317 0.0072 0.6736  1 Si 1.68
O: 0.1371 0.9569 0.3922  1 P 1.52
O: 0.1393 0.3797 0.8969  1 Si 1.60
O: 0.1570 0.9783 0.9997  1 Si 1.62
O: 0.1632 0.3510 0.4974  1 P 1.53
O: 0.1858 0.9516 0.2830  1 P 1.59
O: 0.1874 0.3343 0.7808  1 Si 1.70
O: 0.2810 0.5229 0.4495  1 P 1.59
O: 0.2886 0.4755 0.5591  1 P 1.52
O: 0.2897 0.6674 0.9483  1 Si 1.70
O: 0.2914 0.7167 0.0640  1 Si 1.59
O: 0.2958 0.4958 0.1643  1 P 1.53
O: 0.3119 0.6739 0.6664  1 Si 1.62
O: 0.3343 0.1874 0.2808  1 Si 1.70
O: 0.3344 0.6870 0.3399  1 P 1.57
O: 0.3393 0.9492 0.7830  1 P 1.59
O: 0.3407 0.4628 0.8401  1 Si 1.69
O: 0.3513 0.1279 0.6732  1 P 1.58
O: 0.3510 0.1632 0.9974  1 P 1.53
O: 0.3516 0.9622 0.4979  1 P 1.54
O: 0.3532 0.9973 0.1738  1 P 1.58
O: 0.3797 0.1393 0.3969  1 Si 1.60
O: 0.3803 0.9553 0.8928  1 P 1.52
O: 0.4628 0.3407 0.3401  1 Si 1.69
O: 0.4662 0.6837 0.8400  1 P 1.58
O: 0.4730 0.7131 0.5588  1 P 1.52
O: 0.4755 0.2886 0.0591  1 P 1.52
O: 0.4958 0.2958 0.6643  1 P 1.53
O: 0.4960 0.6850 0.1645  1 P 1.53
O: 0.5188 0.6741 0.4490  1 P 1.58
O: 0.5229 0.2810 0.9495  1 P 1.59
O: 0.6161 0.8533 0.1159  1 P 1.58
O: 0.6166 0.0056 0.6167  1 P 1.59
O: 0.6208 0.0468 0.7264  1 P 1.52
O: 0.6251 0.8051 0.2257  1 P 1.52
O: 0.6281 0.8339 0.8302  1 P 1.53
O: 0.6431 0.0051 0.3342  1 Si 1.62
O: 0.6623 0.0163 0.0068  1 P 1.58
O: 0.6649 0.7918 0.5068  1 P 1.58
O: 0.6674 0.2897 0.4483  1 Si 1.70
O: 0.6739 0.3119 0.1664  1 Si 1.62
O: 0.6741 0.5188 0.9490  1 P 1.58
O: 0.6837 0.4662 0.3400  1 P 1.58
O: 0.6850 0.4960 0.6645  1 P 1.53
O: 0.6870 0.3344 0.8399  1 P 1.57
O: 0.7131 0.4730 0.0588  1 P 1.52
O: 0.7167 0.2914 0.5640  1 Si 1.59
O: 0.7918 0.6649 0.0068  1 P 1.58
O: 0.7949 0.0072 0.5068  1 Si 1.69
O: 0.8030 0.0492 0.2299  1 Si 1.60
O: 0.8051 0.6251 0.7257  1 P 1.52
O: 0.8223 0.0236 0.8301  1 P 1.53
O: 0.8339 0.6281 0.3302  1 P 1.53
O: 0.8533 0.6161 0.6159  1 P 1.58
O: 0.8541 0.0014 0.1144  1 Si 1.71
O: 0.9492 0.3393 0.2830  1 P 1.59
O: 0.9516 0.1858 0.7830  1 P 1.59
O: 0.9553 0.3803 0.3928  1 P 1.52
O: 0.9569 0.1371 0.8922  1 P 1.52
O: 0.9622 0.3516 0.9979  1 P 1.54
O: 0.9783 0.1570 0.4997  1 Si 1.62
O: 0.9973 0.3532 0.6738  1 P 1.58

Calculated values
As for the space group: No. 9. The density is 2.89 g/cm³. Its total moment is 0.00 Bohr magnetons per cell. The calculation puts the total energy at -6.90 eV per atom.